[1]
DFT (GGA-PBE) results for an optimized crystal structure of KMg14Sn.

Values from the calculation:
total magnetization: 0.00 μB/f.u.
relative energy among the computed polymorphs: 24.0 meV/atom
DFT total energy: -1.647 eV per atom

Cell lengths 6.481, 6.481, 10.861 Å; angles 90.00, 90.00, 120.00 degrees
Sites, in units of the cell vectors:
Mg  0.833  0.667  0.382
Mg  0.337  0.674  0.883
Mg  0.668  0.336  0.125
Mg  0.826  0.163  0.883
Mg  0.663  0.837  0.625
Mg  0.173  0.837  0.625
Mg  0.833  0.667  0.868
Mg  0.826  0.163  0.367
Mg  0.164  0.832  0.125
Mg  0.337  0.674  0.367
Mg  0.668  0.832  0.125
Mg  0.663  0.327  0.625
Mg  0.337  0.163  0.367
Mg  0.337  0.163  0.883
K  0.167  0.333  0.625
Sn  0.167  0.333  0.125



[2]
DFT (GGA-PBE) results for an optimized crystal structure of KSrMg6.

Values from the calculation:
total magnetization: 0.07 μB/f.u.
relative energy among the computed polymorphs: 14.9 meV/atom
DFT total energy: -1.356 eV per atom

Cell lengths 6.991, 6.991, 5.540 Å; angles 90.00, 90.00, 114.04 degrees
Sites, in units of the cell vectors:
Mg  0.677  0.821  0.000
Mg  0.839  0.671  0.500
Mg  0.179  0.323  0.000
Mg  0.329  0.161  0.500
Mg  0.648  0.352  0.000
Mg  0.151  0.849  0.000
K  0.836  0.164  0.500
Sr  0.340  0.660  0.500



[3]
DFT (GGA-PBE) results for an optimized crystal structure of KSrMg6.

Values from the calculation:
total magnetization: 0.01 μB/f.u.
relative energy among the computed polymorphs: 0.0 meV/atom
DFT total energy: -1.371 eV per atom

Cell lengths 5.566, 7.041, 12.340 Å; angles 90.00, 90.00, 90.00 degrees
Sites, in units of the cell vectors:
Mg  0.500  0.000  0.165
Mg  0.500  0.742  0.920
Mg  0.500  0.758  0.420
Mg  0.000  0.743  0.581
Mg  0.500  0.258  0.920
Mg  0.000  0.500  0.833
Mg  0.000  0.757  0.081
Mg  0.000  0.243  0.081
Mg  0.500  0.242  0.420
Mg  0.000  0.257  0.581
Mg  0.500  0.500  0.665
Mg  0.000  0.000  0.333
Sr  0.500  0.000  0.661
Sr  0.500  0.500  0.161
K  0.000  0.500  0.340
K  0.000  0.000  0.840



[4]
DFT (GGA-PBE) results for an optimized crystal structure of KMg14Ti.

Values from the calculation:
total magnetization: 0.96 μB/f.u.
relative energy among the computed polymorphs: 0.0 meV/atom
DFT total energy: -1.812 eV per atom

Cell lengths 6.544, 6.544, 10.315 Å; angles 90.00, 90.00, 120.00 degrees
Sites, in units of the cell vectors:
Mg  0.833  0.667  0.378
Mg  0.666  0.333  0.125
Mg  0.167  0.834  0.125
Mg  0.831  0.166  0.360
Mg  0.334  0.669  0.890
Mg  0.663  0.837  0.625
Mg  0.334  0.669  0.360
Mg  0.174  0.837  0.625
Mg  0.831  0.166  0.890
Mg  0.334  0.166  0.360
Mg  0.833  0.667  0.872
Mg  0.663  0.326  0.625
Mg  0.334  0.166  0.890
Mg  0.666  0.834  0.125
Ti  0.167  0.333  0.125
K  0.167  0.333  0.625



[5]
DFT (GGA-PBE) results for an optimized crystal structure of KMg6Ti.

Values from the calculation:
total magnetization: 0.00 μB/f.u.
relative energy among the computed polymorphs: 31.1 meV/atom
DFT total energy: -2.058 eV per atom

Cell lengths 6.578, 6.578, 5.180 Å; angles 90.00, 90.00, 120.00 degrees
Sites, in units of the cell vectors:
Mg  0.643  0.822  0.000
Mg  0.318  0.159  0.500
Mg  0.841  0.682  0.500
Mg  0.178  0.357  0.000
Mg  0.178  0.822  0.000
Mg  0.841  0.159  0.500
K  0.667  0.333  0.000
Ti  0.333  0.667  0.500



[6]
DFT (GGA-PBE) results for an optimized crystal structure of KMg14Ti.

Values from the calculation:
total magnetization: 1.22 μB/f.u.
relative energy among the computed polymorphs: 20.3 meV/atom
DFT total energy: -1.792 eV per atom

Cell lengths 6.518, 6.618, 10.383 Å; angles 90.00, 90.00, 120.51 degrees
Sites, in units of the cell vectors:
Mg  0.841  0.170  0.883
Mg  0.667  0.837  0.625
Mg  0.334  0.179  0.381
Mg  0.334  0.179  0.869
Mg  0.334  0.654  0.869
Mg  0.169  0.834  0.625
Mg  0.662  0.331  0.125
Mg  0.820  0.660  0.386
Mg  0.334  0.654  0.381
Mg  0.667  0.331  0.625
Mg  0.166  0.333  0.625
Mg  0.841  0.170  0.367
Mg  0.820  0.660  0.864
Mg  0.662  0.831  0.125
K  0.162  0.831  0.125
Ti  0.188  0.344  0.125



[7]
DFT (GGA-PBE) results for an optimized crystal structure of KMg6Ti.

Values from the calculation:
total magnetization: 1.30 μB/f.u.
relative energy among the computed polymorphs: 20.7 meV/atom
DFT total energy: -2.068 eV per atom

Cell lengths 6.547, 6.547, 5.281 Å; angles 90.00, 90.00, 118.95 degrees
Sites, in units of the cell vectors:
Mg  0.608  0.928  0.500
Mg  0.407  0.070  0.000
Mg  0.072  0.392  0.500
Mg  0.406  0.594  0.000
Mg  0.077  0.923  0.500
Mg  0.930  0.593  0.000
K  0.584  0.416  0.500
Ti  0.916  0.084  0.000



[8]
DFT (GGA-PBE) results for an optimized crystal structure of KMg6Ti.

Values from the calculation:
total magnetization: 1.17 μB/f.u.
relative energy among the computed polymorphs: 88.7 meV/atom
DFT total energy: -2.000 eV per atom

Cell lengths 6.562, 6.562, 5.263 Å; angles 90.00, 90.00, 118.13 degrees
Sites, in units of the cell vectors:
Mg  0.821  0.655  0.500
Mg  0.345  0.179  0.500
Mg  0.637  0.819  0.000
Mg  0.839  0.161  0.500
Mg  0.181  0.363  0.000
Mg  0.667  0.333  0.000
K  0.154  0.846  0.000
Ti  0.356  0.644  0.500



[9]
DFT (GGA-PBE) results for an optimized crystal structure of KMg6Ti.

Values from the calculation:
total magnetization: 2.05 μB/f.u.
relative energy among the computed polymorphs: 0.0 meV/atom
DFT total energy: -2.089 eV per atom

Cell lengths 6.713, 6.713, 4.531 Å; angles 90.00, 90.00, 90.00 degrees
Sites, in units of the cell vectors:
Mg  0.721  0.279  0.000
Mg  0.721  0.721  0.000
Mg  0.000  0.500  0.500
Mg  0.500  0.000  0.500
Mg  0.279  0.721  0.000
Mg  0.279  0.279  0.000
K  0.000  0.000  0.500
Ti  0.500  0.500  0.500



[10]
DFT (GGA-PBE) results for an optimized crystal structure of KMg6V.

Values from the calculation:
total magnetization: 3.77 μB/f.u.
relative energy among the computed polymorphs: 0.0 meV/atom
DFT total energy: -2.198 eV per atom

Cell lengths 7.675, 7.675, 3.456 Å; angles 90.00, 90.00, 90.00 degrees
Sites, in units of the cell vectors:
Mg  0.211  0.789  0.000
Mg  0.789  0.789  0.000
Mg  0.000  0.500  0.500
Mg  0.789  0.211  0.000
Mg  0.211  0.211  0.000
Mg  0.500  0.000  0.500
K  0.500  0.500  0.500
V  0.000  0.000  0.500



[11]
DFT (GGA-PBE) results for an optimized crystal structure of KMg6V.

Values from the calculation:
total magnetization: 3.41 μB/f.u.
relative energy among the computed polymorphs: 107.0 meV/atom
DFT total energy: -2.091 eV per atom

Cell lengths 5.289, 6.571, 11.455 Å; angles 90.00, 90.00, 90.00 degrees
Sites, in units of the cell vectors:
Mg  0.500  0.500  0.669
Mg  0.000  0.000  0.334
Mg  0.500  0.263  0.412
Mg  0.500  0.737  0.412
Mg  0.500  0.763  0.912
Mg  0.000  0.235  0.078
Mg  0.000  0.500  0.834
Mg  0.000  0.735  0.578
Mg  0.000  0.765  0.078
Mg  0.000  0.265  0.578
Mg  0.500  0.000  0.169
Mg  0.500  0.237  0.912
K  0.500  0.000  0.663
K  0.500  0.500  0.163
V  0.000  0.500  0.353
V  0.000  0.000  0.853



[12]
DFT (GGA-PBE) results for an optimized crystal structure of KMg14W.

Values from the calculation:
total magnetization: 1.38 μB/f.u.
relative energy among the computed polymorphs: 24.9 meV/atom
DFT total energy: -1.992 eV per atom

Cell lengths 6.406, 6.632, 10.232 Å; angles 90.00, 90.00, 121.17 degrees
Sites, in units of the cell vectors:
Mg  0.663  0.327  0.125
Mg  0.819  0.160  0.389
Mg  0.328  0.683  0.877
Mg  0.328  0.146  0.877
Mg  0.328  0.146  0.373
Mg  0.845  0.672  0.359
Mg  0.667  0.827  0.625
Mg  0.173  0.336  0.625
Mg  0.328  0.683  0.373
Mg  0.667  0.340  0.625
Mg  0.845  0.672  0.891
Mg  0.819  0.160  0.861
Mg  0.663  0.836  0.125
Mg  0.168  0.834  0.625
K  0.164  0.332  0.125
W  0.194  0.847  0.125



[13]
DFT (GGA-PBE) results for an optimized crystal structure of KMg6W.

Values from the calculation:
total magnetization: 0.20 μB/f.u.
DFT total energy: -2.531 eV per atom

Cell lengths 6.555, 6.555, 4.378 Å; angles 90.00, 90.00, 90.01 degrees
Sites, in units of the cell vectors:
Mg  0.878  0.628  0.500
Mg  0.590  0.837  0.000
Mg  0.159  0.841  0.000
Mg  0.372  0.122  0.500
Mg  0.163  0.410  0.000
Mg  0.591  0.409  0.000
K  0.871  0.129  0.500
W  0.376  0.624  0.500



[14]
DFT (GGA-PBE) results for an optimized crystal structure of KMg14W.

Values from the calculation:
total magnetization: 0.01 μB/f.u.
relative energy among the computed polymorphs: 0.0 meV/atom
DFT total energy: -2.017 eV per atom

Cell lengths 6.462, 6.462, 10.294 Å; angles 90.00, 90.00, 120.00 degrees
Sites, in units of the cell vectors:
Mg  0.160  0.830  0.625
Mg  0.331  0.169  0.399
Mg  0.670  0.340  0.625
Mg  0.839  0.169  0.399
Mg  0.661  0.323  0.125
Mg  0.833  0.667  0.881
Mg  0.331  0.661  0.851
Mg  0.839  0.169  0.851
Mg  0.833  0.667  0.369
Mg  0.177  0.839  0.125
Mg  0.331  0.661  0.399
Mg  0.670  0.830  0.625
Mg  0.661  0.839  0.125
Mg  0.331  0.169  0.851
W  0.167  0.333  0.625
K  0.167  0.333  0.125



[15]
DFT (GGA-PBE) results for an optimized crystal structure of KMg6W.

Values from the calculation:
total magnetization: 0.22 μB/f.u.
DFT total energy: -2.531 eV per atom

Cell lengths 6.552, 6.552, 4.384 Å; angles 90.00, 90.00, 90.00 degrees
Sites, in units of the cell vectors:
Mg  0.286  0.714  0.500
Mg  0.714  0.286  0.500
Mg  0.000  0.500  0.000
Mg  0.714  0.714  0.500
Mg  0.500  0.000  0.000
Mg  0.286  0.286  0.500
K  0.000  0.000  0.000
W  0.500  0.500  0.000



[16]
DFT (GGA-PBE) results for an optimized crystal structure of KYMg6.

Values from the calculation:
total magnetization: 0.00 μB/f.u.
relative energy among the computed polymorphs: 9.4 meV/atom
DFT total energy: -1.962 eV per atom

Cell lengths 5.336, 7.199, 11.688 Å; angles 90.00, 90.00, 90.00 degrees
Sites, in units of the cell vectors:
K  0.500  0.500  0.832
K  0.500  0.000  0.332
Mg  0.000  0.500  0.647
Mg  0.500  0.741  0.082
Mg  0.000  0.765  0.925
Mg  0.000  0.000  0.664
Mg  0.000  0.735  0.425
Mg  0.500  0.241  0.582
Mg  0.000  0.500  0.164
Mg  0.000  0.000  0.147
Mg  0.000  0.235  0.925
Mg  0.500  0.259  0.082
Mg  0.000  0.265  0.425
Mg  0.500  0.759  0.582
Y  0.500  0.000  0.843
Y  0.500  0.500  0.343



[17]
DFT (GGA-PBE) results for an optimized crystal structure of KYMg6.

Values from the calculation:
total magnetization: 0.00 μB/f.u.
relative energy among the computed polymorphs: 0.0 meV/atom
DFT total energy: -1.971 eV per atom

Cell lengths 5.399, 6.970, 11.759 Å; angles 90.00, 90.00, 90.00 degrees
Sites, in units of the cell vectors:
Mg  0.500  0.000  0.166
Mg  0.000  0.000  0.344
Mg  0.500  0.257  0.411
Mg  0.000  0.235  0.086
Mg  0.000  0.765  0.086
Mg  0.000  0.735  0.586
Mg  0.500  0.243  0.911
Mg  0.000  0.500  0.844
Mg  0.500  0.743  0.411
Mg  0.500  0.757  0.911
Mg  0.500  0.500  0.666
Mg  0.000  0.265  0.586
Y  0.000  0.500  0.347
Y  0.000  0.000  0.847
K  0.500  0.500  0.150
K  0.500  0.000  0.650



[18]
DFT (GGA-PBE) results for an optimized crystal structure of KMg6Zr.

Values from the calculation:
total magnetization: 0.18 μB/f.u.
relative energy among the computed polymorphs: 0.0 meV/atom
DFT total energy: -2.228 eV per atom

Cell lengths 6.665, 6.665, 5.211 Å; angles 90.00, 90.00, 120.00 degrees
Sites, in units of the cell vectors:
Mg  0.177  0.823  0.000
Mg  0.177  0.355  0.000
Mg  0.510  0.021  0.500
Mg  0.510  0.490  0.500
Mg  0.645  0.823  0.000
Mg  0.979  0.490  0.500
Zr  0.667  0.333  0.000
K  0.000  0.000  0.500



[19]
DFT (GGA-PBE) results for an optimized crystal structure of KMg6Zr.

Values from the calculation:
total magnetization: 1.26 μB/f.u.
relative energy among the computed polymorphs: 10.0 meV/atom
DFT total energy: -2.218 eV per atom

Cell lengths 6.677, 6.677, 4.702 Å; angles 90.00, 90.00, 90.12 degrees
Sites, in units of the cell vectors:
Mg  0.120  0.369  0.000
Mg  0.400  0.600  0.500
Mg  0.848  0.603  0.500
Mg  0.850  0.150  0.500
Mg  0.397  0.152  0.500
Mg  0.631  0.880  0.000
K  0.131  0.869  0.000
Zr  0.623  0.377  0.000



[20]
DFT (GGA-PBE) results for an optimized crystal structure of KMg6Zr.

Values from the calculation:
total magnetization: 1.18 μB/f.u.
relative energy among the computed polymorphs: 10.5 meV/atom
DFT total energy: -2.217 eV per atom

Cell lengths 6.712, 6.712, 4.649 Å; angles 90.00, 90.00, 90.00 degrees
Sites, in units of the cell vectors:
Mg  0.850  0.600  0.500
Mg  0.400  0.600  0.500
Mg  0.850  0.150  0.500
Mg  0.625  0.875  0.000
Mg  0.400  0.150  0.500
Mg  0.125  0.375  0.000
Zr  0.625  0.375  0.000
K  0.125  0.875  0.000